Compound: Na2TiAgF6
Source: the Materials Project
Functional: PBE
Structure: optimized geometry

Results
As for the density: 3.2 g cm⁻³. The value obtained for the total energy is -4.961 eV per atom. As for the symmetry: No. 225. For the volume, the calculation gives 16.5 Å³ per atom.

a = 6.1581 Å, b = 6.1581 Å, c = 6.1581 Å
α = 60.00°, β = 60.00°, γ = 60.00°
Sites, in units of the cell vectors:
1 Ti 0.0000 0.0000 0.0000
2 F 0.7753 0.7753 0.2247
3 F 0.2247 0.7753 0.2247
4 F 0.2247 0.2247 0.7753
5 F 0.2247 0.7753 0.7753
6 F 0.7753 0.2247 0.7753
7 F 0.7753 0.2247 0.2247
8 Na 0.2500 0.2500 0.2500
9 Na 0.7500 0.7500 0.7500
10 Ag 0.5000 0.5000 0.5000